CoPH6NO5: relaxed, PBE+U.

crystal system	orthorhombic
energy above the most stable polymorph in this dataset	3	meV/atom
DFT formation energy	-1.437	eV/atom
electronic total energy	-5.79	eV per atom

Cell lengths 17.825, 5.657, 4.837 Å; angles 90.00, 90.00, 90.00 degrees
Space group Pnma (No. 62)
Asymmetric unit:
Co1 0.239 0.250 0.115 x4
P1 0.154 0.750 0.180 x4
H1 0.019 0.750 0.922 x4
H2 0.021 0.750 0.566 x4
H3 0.047 0.099 0.257 x8
H4 0.151 0.111 0.699 x8
N1 0.014 0.250 0.258 x4
O1 0.068 0.750 0.243 x4
O2 0.145 0.250 0.819 x4
O3 0.166 0.750 0.868 x4
O4 0.193 0.532 0.325 x8